The following is a DFT calculation (GGA-PBE) of BaAl2C2O11 after structural relaxation.

Cell lengths 16.4977, 6.1833, 9.4511 Å; angles 90.00, 90.00, 90.00 degrees
Closest atoms and distances in Å follow each position.
Element x y z (fractional)
Ba1 0.0886 0.2500 0.0244  5 O 2.62-2.80
Ba2 0.4114 0.7500 0.5244  5 O 2.62-2.80
Ba3 0.5886 0.2500 0.4756  5 O 2.62-2.80
Ba4 0.9114 0.7500 0.9756  5 O 2.62-2.80
Al1 0.2008 0.0284 0.3446  6 O 1.81-1.96
Al2 0.2008 0.4716 0.3446  6 O 1.81-1.96
Al3 0.2992 0.5284 0.8446  6 O 1.81-1.96
Al4 0.2992 0.9716 0.8446  6 O 1.81-1.96
Al5 0.7008 0.0284 0.1554  6 O 1.81-1.96
Al6 0.7008 0.4716 0.1554  6 O 1.81-1.96
Al7 0.7992 0.5284 0.6554  6 O 1.81-1.96
Al8 0.7992 0.9716 0.6554  6 O 1.81-1.96
C1 0.0574 0.7500 0.2652  3 O 1.27-1.30
C2 0.1502 0.7500 0.9207  3 O 1.28-1.31
C3 0.3498 0.2500 0.4207  3 O 1.28-1.31
C4 0.4426 0.2500 0.7652  3 O 1.27-1.30
C5 0.5574 0.7500 0.2348  3 O 1.27-1.30
C6 0.6502 0.7500 0.5793  3 O 1.28-1.31
C7 0.8498 0.2500 0.0793  3 O 1.28-1.31
C8 0.9426 0.2500 0.7348  3 O 1.27-1.30
O1 0.0189 0.2500 0.7557  1 C 1.27
O2 0.0435 0.7500 0.6091  9 O 3.20-3.48, 2 C 3.26-3.43
O3 0.0764 0.7500 0.9607  1 C 1.28
O4 0.0948 0.5650 0.2727  1 C 1.30
O5 0.0948 0.9350 0.2727  1 C 1.30
O6 0.1593 0.2500 0.4475  2 Al 1.81
O7 0.1880 0.5663 0.9025  1 C 1.31
O8 0.1880 0.9337 0.9025  1 C 1.31
O9 0.2027 0.2500 0.2175  2 Al 1.82
O10 0.2110 0.7500 0.4319  1 O 1.51
O11 0.2391 0.7500 0.2800  1 O 1.51
O12 0.2609 0.2500 0.7800  1 O 1.51
O13 0.2890 0.2500 0.9319  1 O 1.51
O14 0.2973 0.7500 0.7175  2 Al 1.82
O15 0.3120 0.0663 0.4025  1 C 1.31
O16 0.3120 0.4337 0.4025  1 C 1.31
O17 0.3407 0.7500 0.9475  2 Al 1.81
O18 0.4052 0.0650 0.7727  1 C 1.30
O19 0.4052 0.4350 0.7727  1 C 1.30
O20 0.4236 0.2500 0.4607  1 C 1.28
O21 0.4565 0.2500 0.1091  9 O 3.20-3.48, 2 C 3.26-3.43
O22 0.4811 0.7500 0.2557  1 C 1.27
O23 0.5189 0.2500 0.7443  1 C 1.27
O24 0.5435 0.7500 0.8909  9 O 3.20-3.48, 2 C 3.26-3.43
O25 0.5764 0.7500 0.5393  1 C 1.28
O26 0.5948 0.5650 0.2273  1 C 1.30
O27 0.5948 0.9350 0.2273  1 C 1.30
O28 0.6593 0.2500 0.0525  2 Al 1.81
O29 0.6880 0.5663 0.5975  1 C 1.31
O30 0.6880 0.9337 0.5975  1 C 1.31
O31 0.7027 0.2500 0.2825  2 Al 1.82
O32 0.7110 0.7500 0.0681  1 O 1.51
O33 0.7391 0.7500 0.2200  1 O 1.51
O34 0.7609 0.2500 0.7200  1 O 1.51
O35 0.7890 0.2500 0.5681  1 O 1.51
O36 0.7973 0.7500 0.7825  2 Al 1.82
O37 0.8120 0.0663 0.0975  1 C 1.31
O38 0.8120 0.4337 0.0975  1 C 1.31
O39 0.8407 0.7500 0.5525  2 Al 1.81
O40 0.9052 0.0650 0.7273  1 C 1.30
O41 0.9052 0.4350 0.7273  1 C 1.30
O42 0.9236 0.2500 0.0393  1 C 1.28
O43 0.9565 0.2500 0.3909  9 O 3.20-3.48, 2 C 3.26-3.43
O44 0.9811 0.7500 0.2443  1 C 1.27

Properties
- formation energy (meV per atom) = -1788
- magnetic moment (Bohr magnetons per cell) = 14.20
- VASP energy (eV/cell) = -423.2

The following is a DFT calculation (GGA-PBE) of BaCaAlF7 after structural relaxation.

Cell lengths 5.4385, 5.4662, 19.6188 Å; angles 90.00, 103.67, 90.00 degrees
Closest atoms and distances in Å follow each position.
Element x y z (fractional)
Ba1 0.1843 0.2426 0.4324  7 F 2.60-2.90
Ba2 0.1843 0.7574 0.9324  7 F 2.60-2.90
Ba3 0.8157 0.2426 0.0676  7 F 2.60-2.90
Ba4 0.8157 0.7574 0.5676  7 F 2.60-2.90
Ca1 0.0000 0.3221 0.7500  8 F 2.25-2.47
Ca2 0.0000 0.6779 0.2500  8 F 2.25-2.47
Ca3 0.5000 0.2078 0.2500  8 F 2.24-2.49
Ca4 0.5000 0.7922 0.7500  8 F 2.24-2.49
Al1 0.3202 0.2248 0.6195  6 F 1.78-1.88
Al2 0.3202 0.7752 0.1195  6 F 1.78-1.88
Al3 0.6798 0.2248 0.8805  6 F 1.78-1.88
Al4 0.6798 0.7752 0.3805  6 F 1.78-1.88
F1 0.0084 0.2823 0.5605  1 Al 1.84
F2 0.0084 0.7177 0.0605  1 Al 1.84
F3 0.1596 0.0292 0.6750  1 Al 1.88
F4 0.1596 0.9708 0.1750  1 Al 1.88
F5 0.2239 0.3626 0.3073  2 Ca 2.24-2.25
F6 0.2239 0.6374 0.8073  2 Ca 2.24-2.25
F7 0.2628 0.4811 0.6742  1 Al 1.84
F8 0.2628 0.5189 0.1742  1 Al 1.84
F9 0.3433 0.0442 0.0654  1 Al 1.83
F10 0.3433 0.9558 0.5654  1 Al 1.83
F11 0.3837 0.1381 0.8189  1 Al 1.83
F12 0.3837 0.8619 0.3189  1 Al 1.83
F13 0.4657 0.4068 0.5646  1 Al 1.78
F14 0.4657 0.5932 0.0646  1 Al 1.78
F15 0.5343 0.4068 0.9354  1 Al 1.78
F16 0.5343 0.5932 0.4354  1 Al 1.78
F17 0.6163 0.1381 0.6811  1 Al 1.83
F18 0.6163 0.8619 0.1811  1 Al 1.83
F19 0.6567 0.0442 0.4346  1 Al 1.83
F20 0.6567 0.9558 0.9346  1 Al 1.83
F21 0.7372 0.4811 0.8258  1 Al 1.84
F22 0.7372 0.5189 0.3258  1 Al 1.84
F23 0.7761 0.3626 0.1927  2 Ca 2.24-2.25
F24 0.7761 0.6374 0.6927  2 Ca 2.24-2.25
F25 0.8404 0.0292 0.8250  1 Al 1.88
F26 0.8404 0.9708 0.3250  1 Al 1.88
F27 0.9916 0.2823 0.9395  1 Al 1.84
F28 0.9916 0.7177 0.4395  1 Al 1.84

Properties
- formation energy (meV per atom) = -4101
- magnetic moment (Bohr magnetons per cell) = 0.00
- VASP energy (eV/cell) = -235.4

The following is a DFT calculation (GGA-PBE) of BaCaAl3P2H2O14 after structural relaxation.

Cell lengths 6.9383, 7.1939, 7.3213 Å; angles 62.31, 61.74, 89.98 degrees
Closest atoms and distances in Å follow each position.
Element x y z (fractional)
Ba1 0.0000 0.0000 0.0000  6 O 2.72-2.98, 1 H 2.97
Ca1 0.4978 0.5478 0.0040  5 O 2.24-2.43, 1 H 2.39
Al1 0.0255 0.5236 0.4464  5 O 1.80-1.97
Al2 0.5283 0.5234 0.4465  5 O 1.80-1.98
Al3 0.9914 0.5446 0.0170  6 O 1.78-1.98
P1 0.2832 0.9023 0.4338  4 O 1.53-1.57
P2 0.7263 0.1382 0.5480  4 O 1.51-1.57
H1 0.2822 0.2901 0.4353  1 O 1.00
H2 0.7302 0.7234 0.5416  1 O 0.99
O1 0.1280 0.7997 0.3836  1 P 1.57
O2 0.1359 0.6141 0.1319  2 Al 1.78-1.80
O3 0.1471 0.8327 0.7068  1 P 1.56
O4 0.1962 0.4368 0.8122  1 O 1.41
O5 0.2856 0.4315 0.4288  1 H 1.00
O6 0.3673 0.1508 0.2645  1 P 1.53
O7 0.4888 0.7999 0.3833  1 P 1.57
O8 0.5117 0.2262 0.6152  1 P 1.57
O9 0.6603 0.8909 0.6811  1 P 1.51
O10 0.7248 0.5808 0.5514  1 H 0.99
O11 0.7316 0.6136 0.1320  2 Al 1.78-1.80
O12 0.8671 0.2360 0.2650  1 P 1.57
O13 0.8744 0.2265 0.6143  1 P 1.57
O14 0.9928 0.4376 0.8115  1 O 1.41

Properties
- formation energy (meV per atom) = -2760
- VASP energy (eV/cell) = -155.9

The following is a DFT calculation (GGA-PBE) of BaAlCdF7 after structural relaxation.

Cell lengths 7.5216, 7.5216, 15.0354 Å; angles 91.66, 91.66, 41.96 degrees
Closest atoms and distances in Å follow each position.
Element x y z (fractional)
Ba1 0.1528 0.2280 0.1226  7 F 2.65-2.88
Ba2 0.2280 0.1528 0.6226  7 F 2.65-2.88
Ba3 0.7720 0.8472 0.3774  7 F 2.65-2.88
Ba4 0.8472 0.7720 0.8774  7 F 2.65-2.88
Al1 0.1147 0.1304 0.8754  6 F 1.81-1.88
Al2 0.1304 0.1147 0.3754  6 F 1.81-1.88
Al3 0.8696 0.8853 0.6246  6 F 1.81-1.88
Al4 0.8853 0.8696 0.1246  6 F 1.81-1.88
Cd1 0.4485 0.5515 0.2500  6 F 2.20-2.42
Cd2 0.5000 0.5000 0.0000  6 F 2.19-2.34
Cd3 0.5000 0.5000 0.5000  6 F 2.19-2.34
Cd4 0.5515 0.4485 0.7500  6 F 2.20-2.42
F1 0.0433 0.6316 0.2175  1 Al 1.86
F2 0.0715 0.7556 0.5252  1 Al 1.83
F3 0.1000 0.8989 0.1533  1 Al 1.82
F4 0.1011 0.9000 0.3467  1 Al 1.82
F5 0.1414 0.6176 0.6967  1 Al 1.81
F6 0.1561 0.5769 0.0515  1 Al 1.88
F7 0.1890 0.3021 0.4076  1 Al 1.81
F8 0.2444 0.9285 0.9748  1 Al 1.83
F9 0.3021 0.1890 0.9076  1 Al 1.81
F10 0.3426 0.5229 0.8703  2 Cd 2.19-2.20
F11 0.3684 0.9567 0.2825  1 Al 1.86
F12 0.3824 0.8586 0.8033  1 Al 1.81
F13 0.4231 0.8439 0.4485  1 Al 1.88
F14 0.4771 0.6574 0.6297  2 Cd 2.19-2.20
F15 0.5229 0.3426 0.3703  2 Cd 2.19-2.20
F16 0.5769 0.1561 0.5515  1 Al 1.88
F17 0.6176 0.1414 0.1967  1 Al 1.81
F18 0.6316 0.0433 0.7175  1 Al 1.86
F19 0.6574 0.4771 0.1297  2 Cd 2.19-2.20
F20 0.6979 0.8110 0.0924  1 Al 1.81
F21 0.7556 0.0715 0.0252  1 Al 1.83
F22 0.8110 0.6979 0.5924  1 Al 1.81
F23 0.8439 0.4231 0.9485  1 Al 1.88
F24 0.8586 0.3824 0.3033  1 Al 1.81
F25 0.8989 0.1000 0.6533  1 Al 1.82
F26 0.9000 0.1011 0.8467  1 Al 1.82
F27 0.9285 0.2444 0.4748  1 Al 1.83
F28 0.9567 0.3684 0.7825  1 Al 1.86

Properties
- formation energy (meV per atom) = -3573
- magnetic moment (Bohr magnetons per cell) = 0.00
- VASP energy (eV/cell) = -209.9